No. 1
## Tl5BrCl4 (PBE-GGA)

Data for crystalline Tl5BrCl4 at its relaxed geometry.

ΔH_f (0 K)   -1177.7 meV per atom
Total moment   0.01 μB/cell

a = 14.175 Å, b = 14.175 Å, c = 3.936 Å
α = 90.00°, β = 90.00°, γ = 157.35°
Element x y z (fractional)
Cl 0.100 0.900 0.500
Cl 0.700 0.300 0.500
Cl 0.900 0.100 0.500
Cl 0.300 0.700 0.500
Tl 0.000 0.000 0.000
Tl 0.200 0.800 0.000
Tl 0.800 0.200 0.000
Tl 0.398 0.602 0.000
Tl 0.602 0.398 0.000
Br 0.500 0.500 0.500

***

No. 2
## Tl4BrCl3 (PBE-GGA)

Data for crystalline Tl4BrCl3 at its relaxed geometry.

ΔH_f (0 K)   -1163.9 meV per atom
Total moment   0.00 μB/cell

a = 3.944 Å, b = 5.575 Å, c = 11.139 Å
α = 90.00°, β = 90.00°, γ = 90.00°
Element x y z (fractional)
Tl 0.000 0.000 0.000
Tl 0.000 0.500 0.254
Tl 0.000 0.500 0.746
Tl 0.000 0.000 0.500
Cl 0.500 0.500 0.500
Cl 0.500 0.000 0.251
Cl 0.500 0.000 0.749
Br 0.500 0.500 0.000

***

No. 3
## CoBr (PBE-GGA)

Data for crystalline CoBr at its relaxed geometry.

ΔH_f (0 K)   426.4 meV per atom
Total moment   2.02 μB/cell

a = 3.498 Å, b = 3.498 Å, c = 4.502 Å
α = 90.00°, β = 90.00°, γ = 120.00°
Element x y z (fractional)
Br 0.000 0.000 0.500
Co 0.000 0.000 0.000

***

No. 4
## Cs3CoBr5 (PBE-GGA)

Data for crystalline Cs3CoBr5 at its relaxed geometry.

ΔH_f (0 K)   -1651.3 meV per atom

a = 10.381 Å, b = 10.381 Å, c = 10.381 Å
α = 122.87°, β = 122.87°, γ = 85.10°
Element x y z (fractional)
Cs 0.333 0.833 0.167
Cs 0.833 0.667 0.500
Cs 0.750 0.750 0.000
Cs 0.667 0.167 0.833
Cs 0.167 0.333 0.500
Cs 0.250 0.250 0.000
Br 0.207 0.981 0.500
Br 0.981 0.481 0.774
Br 0.019 0.519 0.226
Br 0.500 0.500 0.000
Br 0.000 0.000 0.000
Br 0.481 0.707 0.500
Br 0.293 0.793 0.774
Br 0.519 0.293 0.500
Br 0.707 0.207 0.226
Br 0.793 0.019 0.500
Co 0.750 0.250 0.500
Co 0.250 0.750 0.500

***

> Look up the ΔH_f (0 K) of the first one.

-1177.7 meV per atom

***

> ΔH_f (0 K) of number 4 (Cs3CoBr5)?

-1651.3 meV per atom

***

Please write out number 4 again, unchanged.
## Cs3CoBr5 (PBE-GGA)

Data for crystalline Cs3CoBr5 at its relaxed geometry.

ΔH_f (0 K)   -1651.3 meV per atom

a = 10.381 Å, b = 10.381 Å, c = 10.381 Å
α = 122.87°, β = 122.87°, γ = 85.10°
Element x y z (fractional)
Cs 0.333 0.833 0.167
Cs 0.833 0.667 0.500
Cs 0.750 0.750 0.000
Cs 0.667 0.167 0.833
Cs 0.167 0.333 0.500
Cs 0.250 0.250 0.000
Br 0.207 0.981 0.500
Br 0.981 0.481 0.774
Br 0.019 0.519 0.226
Br 0.500 0.500 0.000
Br 0.000 0.000 0.000
Br 0.481 0.707 0.500
Br 0.293 0.793 0.774
Br 0.519 0.293 0.500
Br 0.707 0.207 0.226
Br 0.793 0.019 0.500
Co 0.750 0.250 0.500
Co 0.250 0.750 0.500

***

> Which of these has the lowest ΔH_f (0 K)?

Cs3CoBr5